! Li5V12O32 PBE+U optimized geometry; values from VASP
! DFT total energy	-7.1458	eV per atom
! ΔH_f (0 K)	-228	kJ/mol of atoms
! corrected total energy (MP2020 scheme)	-8.01	eV per atom
&SYSTEM
  ibrav = 0, nat = 49, ntyp = 3
/
ATOMIC_SPECIES
Li 6.94 Li.upf
V 50.94 V.upf
O 16.00 O.upf
ATOMIC_POSITIONS angstrom
Li 0.0000 4.2435 7.9167
Li 0.0000 11.0320 7.9210
Li -1.8046 9.6452 3.6592
Li 1.8046 9.6452 3.6592
Li 0.0000 1.3748 0.5978
V 0.0000 14.3615 9.3361
V 0.0000 7.6072 9.3015
V 1.8216 5.7472 5.3616
V -1.8216 5.7472 5.3616
V 0.0000 4.0468 0.9189
V 0.0000 10.7640 0.9215
V 1.8159 9.9093 10.6423
V -1.8159 9.9093 10.6423
V 0.0000 14.9307 6.2210
V 0.0000 8.1493 6.2118
V 1.8186 6.2805 2.2777
V -1.8186 6.2805 2.2777
O -1.8165 8.0910 9.5628
O 1.8165 8.0910 9.5628
O 0.0000 6.7339 11.0495
O 0.0000 13.5073 11.0255
O 0.0000 13.1130 5.3283
O 0.0000 6.3401 5.3267
O 0.0000 13.0515 8.3445
O 0.0000 6.2702 8.3584
O 1.8144 4.9494 3.7874
O -1.8144 4.9494 3.7874
O 1.8197 11.3427 6.5090
O -1.8197 11.3427 6.5090
O 1.8229 4.5448 0.8299
O -1.8229 4.5448 0.8299
O -1.8274 10.9570 9.3759
O 1.8274 10.9570 9.3759
O 0.0000 2.8874 2.1122
O 0.0000 9.7189 2.1910
O 0.0000 9.3745 10.7702
O 0.0000 16.1529 10.7398
O 0.0000 2.5560 5.0681
O 0.0000 9.3340 5.0690
O 0.0000 15.7183 7.7928
O 0.0000 8.9371 7.7955
O 1.8262 7.6254 3.2237
O -1.8262 7.6254 3.2237
O 1.8183 7.5598 6.2478
O -1.8183 7.5598 6.2478
O -1.8949 7.1884 0.5341
O 1.8949 7.1884 0.5341
O 0.0000 12.5982 2.0223
O 0.0000 5.8185 1.9971
CELL_PARAMETERS angstrom
3.6401 6.7760 0.0000
-3.6401 6.7760 0.0000
0.0000 3.7362 11.5741